# 1
Compound: SrMg14FeO16
Source: the Materials Project
Functional: PBE with a Hubbard U
Structure: relaxed

abc: 4.4181 8.6327 8.6934
angles: 90.00 90.00 90.00
With the nearest neighbours (Å) after each atom.
Fractional positions:
Sr 0.0000 0.0000 0.0000  6 O 2.21-2.36
Mg 0.0000 0.0000 0.5000  6 O 1.99-2.21
Mg 0.0000 0.2561 0.2576  6 O 2.11-2.24
Mg 0.0000 0.2561 0.7424  6 O 2.11-2.24
Mg 0.0000 0.5000 0.5000  6 O 2.07-2.21
Mg 0.0000 0.7439 0.2576  6 O 2.11-2.24
Mg 0.0000 0.7439 0.7424  6 O 2.11-2.24
Mg 0.5000 0.0000 0.2597  6 O 2.09-2.26
Mg 0.5000 0.0000 0.7403  6 O 2.09-2.26
Mg 0.5000 0.2520 0.5000  6 O 2.14-2.21
Mg 0.5000 0.2596 0.0000  6 O 2.08-2.24
Mg 0.5000 0.5000 0.2501  6 O 2.16-2.21
Mg 0.5000 0.5000 0.7499  6 O 2.16-2.21
Mg 0.5000 0.7404 0.0000  6 O 2.08-2.24
Mg 0.5000 0.7480 0.5000  6 O 2.14-2.21
Fe 0.0000 0.5000 0.0000  4 O 1.99-2.21
O 0.0000 0.0000 0.2713  5 Mg 1.99-2.21
O 0.0000 0.0000 0.7287  5 Mg 1.99-2.21
O 0.0000 0.2529 0.5000  6 Mg 2.11-2.21
O 0.0000 0.2699 0.0000  1 Fe 1.99, 2 Mg 2.21
O 0.0000 0.5000 0.2616  5 Mg 2.07-2.21, 1 Fe 2.27
O 0.0000 0.5000 0.7384  5 Mg 2.07-2.21, 1 Fe 2.27
O 0.0000 0.7301 0.0000  1 Fe 1.99, 2 Mg 2.21
O 0.0000 0.7471 0.5000  6 Mg 2.11-2.21
O 0.5000 0.0000 0.0000  2 Sr 2.21, 4 Mg 2.24-2.26
O 0.5000 0.0000 0.5000  6 Mg 2.09-2.21
O 0.5000 0.2501 0.2491  6 Mg 2.16-2.21
O 0.5000 0.2501 0.7509  6 Mg 2.16-2.21
O 0.5000 0.5000 0.0000  4 Mg 2.08-2.17, 2 Fe 2.21
O 0.5000 0.5000 0.5000  6 Mg 2.14-2.21
O 0.5000 0.7499 0.2491  6 Mg 2.16-2.21
O 0.5000 0.7499 0.7509  6 Mg 2.16-2.21

Values from the calculation:
Space group: Pmmm (47)
Polymorph energy (0 for the lowest one): 0.000 eV/atom

=====

# 2
Compound: Sr4MgFe4O11
Source: the Materials Project
Functional: PBE with a Hubbard U
Structure: relaxed

abc: 5.6162 6.9759 7.0424
angles: 76.07 89.82 87.99
With the nearest neighbours (Å) after each atom.
Fractional positions:
Sr 0.0000 0.0000 0.0000  6 O 2.38-2.61
Sr 0.0185 0.6496 0.3792  6 O 2.48-2.71, 1 Mg 2.72
Sr 0.4911 0.8668 0.6501  5 O 2.61-2.73
Sr 0.5311 0.3556 0.1533  4 O 2.47-2.70
Mg 0.0580 0.3087 0.6634  5 O 2.00-2.11
Fe 0.0247 0.1307 0.3846  4 O 1.94-2.00
Fe 0.0275 0.5586 0.9395  5 O 1.91-2.03
Fe 0.5143 0.8713 0.1368  5 O 1.97-2.05
Fe 0.5444 0.3460 0.6658  5 O 1.96-2.08
O 0.0313 0.3020 0.1124  2 Fe 1.91-2.00
O 0.0562 0.0097 0.6623  1 Fe 1.94, 1 Mg 2.09
O 0.2649 0.9458 0.3129  2 Fe 1.98-2.00
O 0.2704 0.6979 0.0624  2 Fe 2.01
O 0.2797 0.5102 0.7476  2 Fe 2.01-2.03, 1 Mg 2.10
O 0.3142 0.3256 0.4637  1 Fe 1.96, 1 Mg 2.00
O 0.5325 0.1009 0.8933  2 Fe 2.04-2.05
O 0.7450 0.9476 0.3133  2 Fe 1.97-2.19
O 0.7677 0.6928 0.0613  2 Fe 2.01
O 0.8001 0.3191 0.4586  2 Fe 1.95-2.08, 1 Mg 2.03
O 0.7996 0.5017 0.7413  2 Fe 1.98-2.01, 1 Mg 2.11

Values from the calculation:
Space group: P1 (1)
Polymorph energy (0 for the lowest one): 0.047 eV/atom

=====

# 3
Compound: Sr4MgFe4O11
Source: the Materials Project
Functional: PBE with a Hubbard U
Structure: relaxed

abc: 5.5774 6.9404 7.0578
angles: 73.81 89.96 89.86
With the nearest neighbours (Å) after each atom.
Fractional positions:
Sr 0.0000 0.0000 0.0000  4 O 2.51-2.79
Sr 0.0000 0.5000 0.5000  8 O 2.70-2.77
Sr 0.4993 0.3042 0.1735  5 O 2.46-2.72, 1 Mg 2.66
Sr 0.5007 0.6958 0.8265  5 O 2.46-2.72, 1 Mg 2.66
Mg 0.5000 0.0000 0.5000  4 O 1.94
Fe 0.0000 0.0000 0.5000  6 O 2.03-2.19
Fe 0.0000 0.5000 0.0000  6 O 2.03-2.06
Fe 0.5000 0.2342 0.7674  5 O 1.95-2.00
Fe 0.5000 0.7658 0.2326  5 O 1.95-2.00
O 0.0027 0.2314 0.2168  2 Fe 2.06-2.19
O 0.2563 0.3962 0.8498  2 Fe 1.95-2.03
O 0.2556 0.6056 0.1493  2 Fe 1.95-2.03
O 0.2609 0.1582 0.5897  1 Mg 1.94, 2 Fe 2.00-2.03
O 0.2624 0.8393 0.4134  1 Mg 1.94, 2 Fe 2.00-2.03
O 0.5000 0.0000 0.0000  2 Fe 1.96
O 0.7376 0.1607 0.5866  1 Mg 1.94, 2 Fe 2.00-2.03
O 0.7391 0.8418 0.4103  1 Mg 1.94, 2 Fe 2.00-2.03
O 0.7444 0.3944 0.8507  2 Fe 1.95-2.03
O 0.7437 0.6038 0.1502  2 Fe 1.95-2.03
O 0.9973 0.7686 0.7832  2 Fe 2.06-2.19

Values from the calculation:
Space group: P-1 (2)
Polymorph energy (0 for the lowest one): 0.132 eV/atom

=====

# 4
Compound: Sr4MgFe4O11
Source: the Materials Project
Functional: PBE with a Hubbard U
Structure: relaxed

abc: 7.1310 7.1310 5.5830
angles: 90.04 90.04 67.32
With the nearest neighbours (Å) after each atom.
Fractional positions:
Sr 0.0000 0.0000 0.0000  8 O 2.60-2.67
Sr 0.3385 0.3385 0.5007  5 O 2.43-2.64, 1 Mg 2.44
Sr 0.5310 0.5310 0.0008  3 O 2.50-2.79
Sr 0.7732 0.7732 0.5008  7 O 2.68-2.82
Mg 0.1328 0.1328 0.4988  4 O 2.00
Fe 0.0318 0.5098 0.0008  6 O 1.96-2.18
Fe 0.2817 0.7579 0.5007  5 O 1.90-2.03
Fe 0.5098 0.0318 0.0008  6 O 1.96-2.18
Fe 0.7579 0.2817 0.5007  5 O 1.90-2.03
O 0.1249 0.6726 0.2621  2 Fe 1.98-2.12
O 0.1270 0.6712 0.7404  2 Fe 1.98-2.12
O 0.3156 0.3156 0.0031  2 Fe 1.96
O 0.3294 0.9497 0.2627  1 Mg 2.00, 2 Fe 2.03-2.17
O 0.3287 0.9510 0.7367  1 Mg 2.00, 2 Fe 2.02-2.18
O 0.5429 0.5429 0.4999  2 Fe 1.90
O 0.6712 0.1270 0.7404  2 Fe 1.98-2.12
O 0.6726 0.1249 0.2621  2 Fe 1.98-2.12
O 0.7416 0.7416 0.9993  2 Fe 2.09
O 0.9497 0.3294 0.2627  1 Mg 2.00, 2 Fe 2.03-2.17
O 0.9510 0.3287 0.7367  1 Mg 2.00, 2 Fe 2.02-2.18

Values from the calculation:
Space group: Cm (8)
Polymorph energy (0 for the lowest one): 0.127 eV/atom

=====

# 5
Compound: Sr4MgFe4O11
Source: the Materials Project
Functional: PBE with a Hubbard U
Structure: relaxed

abc: 6.9684 5.5704 7.1134
angles: 90.00 103.39 90.00
With the nearest neighbours (Å) after each atom.
Fractional positions:
Sr 0.0000 0.0000 0.0000  5 O 2.64-2.78
Sr 0.1406 0.5000 0.6599  6 O 2.35-2.60
Sr 0.4937 0.0000 0.5057  7 O 2.55-2.83
Sr 0.7827 0.5000 0.2889  6 O 2.51-2.62, 1 Mg 2.73
Mg 0.4515 0.5000 0.9946  5 O 2.02-2.11
Fe 0.0121 0.0000 0.5226  5 O 1.99-2.05
Fe 0.2619 0.5000 0.2702  6 O 1.96-2.13
Fe 0.4861 0.0000 0.9977  5 O 1.99-2.09
Fe 0.7004 0.5000 0.7240  5 O 1.91-2.02
O 0.0867 0.2422 0.3465  2 Fe 1.99-2.04
O 0.0867 0.7578 0.3465  2 Fe 1.99-2.04
O 0.1476 0.5000 0.9911  1 Fe 1.96, 1 Mg 2.11
O 0.2409 0.0000 0.7629  2 Fe 2.05-2.09
O 0.4475 0.5000 0.5495  2 Fe 1.91-2.10
O 0.4586 0.2436 0.1966  2 Fe 2.00-2.13, 1 Mg 2.02
O 0.4586 0.7564 0.1966  2 Fe 2.00-2.13, 1 Mg 2.02
O 0.6487 0.2578 0.9180  2 Fe 1.99-2.02, 1 Mg 2.09
O 0.6487 0.7422 0.9180  2 Fe 1.99-2.02, 1 Mg 2.09
O 0.8365 0.2477 0.5987  2 Fe 2.00-2.02
O 0.8365 0.7523 0.5987  2 Fe 2.00-2.02

Values from the calculation:
Space group: Pm (6)
Polymorph energy (0 for the lowest one): 0.000 eV/atom

=====

# 6
Compound: SrMg14FeO16
Source: the Materials Project
Functional: PBE with a Hubbard U
Structure: relaxed

abc: 8.6653 8.6653 4.3970
angles: 90.00 90.00 90.00
With the nearest neighbours (Å) after each atom.
Fractional positions:
Sr 0.0000 0.0000 0.0000  6 O 2.20-2.35
Mg 0.0000 0.2601 0.5000  6 O 2.08-2.25
Mg 0.0000 0.5000 0.0000  6 O 1.98-2.20
Mg 0.0000 0.7399 0.5000  6 O 2.08-2.25
Mg 0.2517 0.5000 0.5000  6 O 2.15-2.20
Mg 0.2556 0.2556 0.0000  6 O 2.12-2.22
Mg 0.2556 0.7444 0.0000  6 O 2.12-2.22
Mg 0.2601 0.0000 0.5000  6 O 2.08-2.25
Mg 0.5000 0.0000 0.0000  6 O 1.98-2.20
Mg 0.5000 0.2517 0.5000  6 O 2.15-2.20
Mg 0.5000 0.7483 0.5000  6 O 2.15-2.20
Mg 0.7399 0.0000 0.5000  6 O 2.08-2.25
Mg 0.7444 0.2556 0.0000  6 O 2.12-2.22
Mg 0.7444 0.7444 0.0000  6 O 2.12-2.22
Mg 0.7483 0.5000 0.5000  6 O 2.15-2.20
Fe 0.5000 0.5000 0.0000  6 O 2.16-2.20
O 0.0000 0.0000 0.5000  2 Sr 2.20, 4 Mg 2.25
O 0.0000 0.2714 0.0000  3 Mg 1.98-2.20
O 0.0000 0.5000 0.5000  6 Mg 2.08-2.20
O 0.0000 0.7286 0.0000  3 Mg 1.98-2.20
O 0.2505 0.5000 0.0000  5 Mg 2.12-2.20, 1 Fe 2.16
O 0.2509 0.2509 0.5000  6 Mg 2.16-2.20
O 0.2509 0.7491 0.5000  6 Mg 2.16-2.20
O 0.2714 0.0000 0.0000  3 Mg 1.98-2.20
O 0.5000 0.0000 0.5000  6 Mg 2.08-2.20
O 0.5000 0.2505 0.0000  5 Mg 2.12-2.20, 1 Fe 2.16
O 0.5000 0.5000 0.5000  4 Mg 2.15, 2 Fe 2.20
O 0.5000 0.7495 0.0000  5 Mg 2.12-2.20, 1 Fe 2.16
O 0.7286 0.0000 0.0000  3 Mg 1.98-2.20
O 0.7491 0.2509 0.5000  6 Mg 2.16-2.20
O 0.7491 0.7491 0.5000  6 Mg 2.16-2.20
O 0.7495 0.5000 0.0000  5 Mg 2.12-2.20, 1 Fe 2.16

Values from the calculation:
Space group: P4/mmm (123)
Polymorph energy (0 for the lowest one): 0.031 eV/atom

=====

# 7
Compound: Sr4MgFe4O11
Source: the Materials Project
Functional: PBE with a Hubbard U
Structure: relaxed

abc: 6.1632 6.7928 7.1389
angles: 68.32 84.06 86.59
With the nearest neighbours (Å) after each atom.
Fractional positions:
Sr 0.0000 0.0000 0.0000  5 O 2.47-2.76
Sr 0.0944 0.5460 0.5073  5 O 2.56-2.67
Sr 0.5483 0.7249 0.8274  6 O 2.55-2.84
Sr 0.6977 0.2226 0.3514  4 O 2.37-2.52
Mg 0.3558 0.1588 0.1453  4 O 1.90-2.01
Fe 0.0386 0.5014 0.0053  4 O 1.94-2.04
Fe 0.1528 0.0270 0.5512  4 O 1.94-2.11
Fe 0.5951 0.7382 0.2945  5 O 1.89-2.10
Fe 0.5972 0.2470 0.7839  5 O 1.95-2.12
O 0.0759 0.2280 0.2470  1 Mg 1.90, 1 Fe 2.04
O 0.1220 0.7769 0.7972  2 Fe 1.94-1.97
O 0.3154 0.8852 0.3826  2 Fe 1.97-2.10, 1 Mg 2.01
O 0.3349 0.3848 0.8752  1 Mg 1.98, 2 Fe 1.99-2.20
O 0.4021 0.1324 0.6391  2 Fe 1.98-2.02
O 0.4341 0.5308 0.2544  1 Fe 1.89
O 0.5912 0.0018 0.0361  2 Fe 1.95-2.04, 1 Mg 2.01
O 0.7558 0.7976 0.4813  1 Fe 1.91
O 0.8039 0.3965 0.9077  2 Fe 1.95-2.12
O 0.8816 0.1821 0.6449  2 Fe 2.03-2.11
O 0.8859 0.6313 0.1836  2 Fe 1.94-2.08

Values from the calculation:
Space group: P1 (1)
Polymorph energy (0 for the lowest one): 0.059 eV/atom

=====

# 8
Compound: Sr2MgTiFeO6
Source: the Materials Project
Functional: PBE with a Hubbard U
Structure: relaxed

abc: 5.8768 5.8768 6.2378
angles: 118.03 118.03 60.00
With the nearest neighbours (Å) after each atom.
Fractional positions:
Sr 0.0000 0.0000 0.0000  3 O 2.46
Sr 0.5789 0.5789 0.7356  9 O 2.69-2.99
Mg 0.3552 0.3552 0.0652  3 O 1.90
Ti 0.7875 0.7875 0.3623  6 O 1.90-2.12
Fe 0.1924 0.1924 0.5767  3 O 1.86-1.87
O 0.0236 0.5650 0.1537  1 Mg 1.90, 1 Ti 1.90
O 0.0313 0.0313 0.6358  1 Fe 1.86
O 0.0315 0.5735 0.6365  1 Fe 1.87
O 0.5650 0.0236 0.1537  1 Mg 1.90, 1 Ti 1.90
O 0.5653 0.5653 0.1543  1 Mg 1.90, 1 Ti 1.90
O 0.5735 0.0315 0.6365  1 Fe 1.87

Values from the calculation:
Space group: Cm (8)
Polymorph energy (0 for the lowest one): 0.000 eV/atom

=====

# 9
Compound: Sr2MgTiFeO6
Source: the Materials Project
Functional: PBE with a Hubbard U
Structure: relaxed

abc: 6.1483 6.1483 6.1483
angles: 125.32 125.09 81.20
With the nearest neighbours (Å) after each atom.
Fractional positions:
Sr 0.1824 0.1824 0.0000  6 O 2.64-2.84
Sr 0.8176 0.8176 0.0000  6 O 2.64-2.84
Mg 0.5000 0.5000 0.0000  4 O 1.99
Ti 0.0000 0.5000 0.5000  6 O 1.97-2.03
Fe 0.5000 0.0000 0.5000  4 O 2.03
O 0.2176 0.7176 0.5000  1 Ti 2.03
O 0.2473 0.2556 0.5029  1 Ti 1.97, 1 Mg 1.99, 1 Fe 2.03
O 0.2473 0.7444 0.9917  1 Ti 1.97, 1 Mg 1.99, 1 Fe 2.03
O 0.7527 0.2556 0.0083  1 Ti 1.97, 1 Mg 1.99, 1 Fe 2.03
O 0.7527 0.7444 0.4971  1 Ti 1.97, 1 Mg 1.99, 1 Fe 2.03
O 0.7824 0.2824 0.5000  1 Ti 2.03

Values from the calculation:
Space group: Immm (71)
Polymorph energy (0 for the lowest one): 0.078 eV/atom

=====

# 10
Compound: Sr2YMgTlFe2O7
Source: the Materials Project
Functional: PBE with a Hubbard U
Structure: relaxed

abc: 3.9184 3.9184 14.3568
angles: 90.00 90.00 90.00
With the nearest neighbours (Å) after each atom.
Fractional positions:
Sr 0.0000 0.0000 0.1645  1 O 2.36
Sr 0.0000 0.0000 0.8355  1 O 2.36
Y 0.0000 0.0000 0.5000  8 O 2.36
Mg 0.5000 0.5000 0.5000  8 O 2.36, 2 Fe 2.49
Tl 0.5000 0.5000 0.0000  6 O 2.77
Fe 0.5000 0.5000 0.3266  1 O 1.92
Fe 0.5000 0.5000 0.6734  1 O 1.92
O 0.0000 0.0000 0.0000  2 Sr 2.36
O 0.0000 0.5000 0.4086  2 Fe 2.29, 2 Mg 2.36, 2 Y 2.36
O 0.0000 0.5000 0.5914  2 Fe 2.29, 2 Mg 2.36, 2 Y 2.36
O 0.5000 0.0000 0.4086  2 Fe 2.29, 2 Mg 2.36, 2 Y 2.36
O 0.5000 0.0000 0.5914  2 Fe 2.29, 2 Mg 2.36, 2 Y 2.36
O 0.5000 0.5000 0.1928  1 Fe 1.92
O 0.5000 0.5000 0.8072  1 Fe 1.92

Values from the calculation:
Uncorrected energy: -85.1 eV/cell
Space group: P4/mmm (123)

=====

# 11
Compound: MgTa2Fe2O8
Source: the Materials Project
Functional: PBE with a Hubbard U
Structure: relaxed

abc: 6.1001 6.1075 6.1635
angles: 62.38 62.39 66.07
With the nearest neighbours (Å) after each atom.
Fractional positions:
Mg 0.0000 0.0000 0.0000  4 O 1.96-2.03
Ta 0.3245 0.3228 0.6507  5 O 1.91-2.07
Ta 0.7284 0.7259 0.5212  5 O 1.88-2.00
Fe 0.3080 0.3067 0.1979  5 O 2.05-2.23
Fe 0.7175 0.7160 0.0149  3 O 1.96-2.16
O 0.1465 0.1482 0.6214  1 Ta 1.91, 1 Mg 1.96
O 0.1817 0.1801 0.0307  1 Ta 1.96, 1 Mg 1.96, 1 Fe 2.05
O 0.4935 0.4907 0.2844  1 Ta 1.94, 1 Fe 1.96
O 0.5088 0.5058 0.7261  1 Ta 1.88
O 0.6069 0.9861 0.6809  2 Ta 1.97-2.07, 1 Fe 2.16
O 0.6292 0.9954 0.2143  1 Ta 2.00, 1 Mg 2.03, 1 Fe 2.11
O 0.9889 0.6070 0.6804  2 Ta 1.97-2.07, 1 Fe 2.16
O 0.9978 0.6288 0.2132  1 Ta 2.00, 1 Mg 2.03, 1 Fe 2.11

Values from the calculation:
Space group: P1 (1)
Polymorph energy (0 for the lowest one): 0.142 eV/atom

=====

# 12
Compound: MgTa2Fe2O8
Source: the Materials Project
Functional: PBE with a Hubbard U
Structure: relaxed

abc: 7.6530 7.6530 4.9120
angles: 104.19 104.19 131.99
With the nearest neighbours (Å) after each atom.
Fractional positions:
Mg 0.0000 0.0000 0.0000  4 O 1.99-2.03
Ta 0.6696 0.3304 0.0000  4 O 1.88-1.98
Ta 0.8366 0.1634 0.5000  4 O 1.89-1.98
Fe 0.1939 0.8061 0.0000  6 O 2.09-2.17
Fe 0.3341 0.6659 0.5000  6 O 2.09-2.30
O 0.0352 0.4423 0.9833  1 Ta 1.98, 2 Fe 2.09-2.13
O 0.1173 0.2705 0.4265  1 Ta 1.89, 1 Mg 1.99, 1 Fe 2.12
O 0.3462 0.1670 0.9986  1 Ta 1.88, 1 Mg 2.03
O 0.4912 0.0546 0.5251  1 Ta 1.98, 1 Fe 2.09
O 0.5577 0.9648 0.0167  1 Ta 1.98, 2 Fe 2.09-2.13
O 0.7295 0.8827 0.5735  1 Ta 1.89, 1 Mg 1.99, 1 Fe 2.12
O 0.8330 0.6538 0.0014  1 Ta 1.88, 1 Mg 2.03
O 0.9454 0.5088 0.4749  1 Ta 1.98, 1 Fe 2.09

Values from the calculation:
Space group: C2 (5)
Polymorph energy (0 for the lowest one): 0.000 eV/atom